No. 1
Computed, not measured: an optimized crystal structure of LuP2H4NO7 at the PBE level of DFT.

Results
Spin magnetization, μB/cell: 0.00
Space group: P2_1/c, No. 14
Crystal system: monoclinic
Calculated total energy, eV for the cell shown: -406.556

```
LuP2H4NO7
1.0
-5.5961 6.7221 -6.6603
0.2861 -5.3182 -5.6080
-7.1369 -4.9640 0.9865
Lu P H N O
4 8 16 4 28
Cartesian
-7.4160 -5.1336 -6.2018
-10.2738 1.1028 -6.5797
-5.0309 1.5734 -5.0800
-2.1730 -4.6630 -4.7021
-4.3028 -3.5539 -7.2372
-6.2587 4.4975 -6.5410
-8.1441 -0.0062 -4.0446
-6.1882 -8.0577 -4.7408
-3.2290 -1.4879 -5.4258
-6.9449 1.9659 -7.8911
-9.2179 -2.0722 -5.8560
-5.5020 -5.5261 -3.3907
-1.9732 0.9173 -2.8206
-7.4404 -1.3527 -9.5913
-10.4737 -4.4775 -8.4612
-5.0065 -2.2075 -1.6905
-8.8812 -2.7454 -2.8501
-8.9873 -1.0707 -10.1441
-3.5656 -0.8148 -8.4317
-3.4596 -2.4895 -1.1377
-7.8350 -2.9862 -1.5772
-8.5564 -2.6042 -9.6589
-4.6118 -0.5740 -9.7046
-3.8905 -0.9559 -1.6228
-7.7684 -4.0259 -2.9345
-8.7784 -1.3779 -8.4866
-4.6784 0.4657 -8.3473
-3.6685 -2.1823 -2.7951
-8.3971 -3.4692 -2.3033
-8.4327 -1.5946 -9.4546
-4.0498 -0.0909 -8.9785
-4.0141 -1.9656 -1.8272
-5.6141 -4.2720 -6.9884
-12.1634 0.3466 -5.8974
-6.8328 0.7118 -4.2934
-0.2835 -3.9068 -5.3843
-6.4156 -7.1573 -5.9776
-9.3578 0.8244 -4.5230
-6.0313 3.5971 -5.3042
-3.0891 -4.3846 -6.7588
-2.0803 -1.0999 -6.3518
-8.3110 1.8391 -7.2238
-10.3665 -2.4603 -4.9300
-4.1359 -5.3992 -4.0580
-8.3274 -0.4639 -2.5937
-4.9201 -8.9030 -4.9006
-4.1195 -3.0963 -8.6881
-7.5268 5.3428 -6.3811
-8.5171 -3.2719 -6.4808
-5.4782 -5.1967 -1.9035
-3.9298 -0.2882 -4.8010
-6.9687 1.6366 -9.3783
-6.6303 -4.7706 -4.1203
-9.5945 -1.0200 -6.9175
-5.8166 1.2104 -7.1615
-2.8523 -2.5402 -4.3642
-4.3674 -2.1807 -6.3689
-6.5468 3.5480 -7.8291
-8.0795 -1.3794 -4.9129
-5.9000 -7.1082 -3.4527
```

***

No. 2
Computed, not measured: an optimized crystal structure of LuH3O3 at the PBE level of DFT.

Results
Space group: R-3, No. 148
Crystal system: trigonal
Calculated total energy, eV for the cell shown: -174.341

```
LuH3O3
1.0
0.6697 4.7069 5.2941
-5.1794 -4.6168 1.5780
6.1309 -3.5140 -0.8332
Lu H O
4 12 12
Cartesian
-2.5897 -2.3084 0.7890
0.8106 -1.7120 3.0195
0.3348 2.3534 2.6471
3.0655 -1.7570 -0.4166
3.4520 -2.0787 2.8727
-1.8308 -1.3453 3.1663
-3.0236 -0.3296 4.7137
4.6449 -3.0944 1.3252
0.6467 2.0531 5.3172
0.9745 -5.4771 0.7217
1.5786 -3.3920 1.0905
0.0426 -0.0320 4.9484
2.2389 0.5414 3.1434
-0.6176 -3.9654 2.8955
-2.7910 -4.2399 2.6720
4.4122 0.8159 3.3669
2.9050 -2.0751 3.7063
-1.2838 -1.3489 2.3326
-2.9102 -1.3188 4.7960
4.5314 -2.1052 1.2429
-0.1827 1.9027 4.7809
1.8039 -5.3267 1.2580
1.4567 -2.4068 0.9971
0.1645 -1.0172 5.0418
1.4180 0.3956 2.5964
0.2032 -3.8196 3.4425
-2.2375 -4.2564 1.8404
3.8587 0.8324 4.1985
```